[1]
r2SCAN Ag5GeO4, relaxed; ΔE_f = -0.659 eV per atom; energy = -15.114 eV per atom; space-group type = No. 14; crystal system = monoclinic
1.0
9.8928 0.0000 0.0000
0.0000 6.4403 -0.0358
0.0000 6.2229 9.1090
Ag Ge O
20 4 16
Direct
0.4155 0.0716 0.0898 Ag
0.9155 0.9284 0.4102 Ag
0.5845 0.9284 0.9102 Ag
0.0845 0.0716 0.5898 Ag
0.3559 0.6000 0.1182 Ag
0.8559 0.4000 0.3818 Ag
0.6441 0.4000 0.8818 Ag
0.1441 0.6000 0.6182 Ag
0.4062 0.3237 0.6976 Ag
0.9062 0.6763 0.8024 Ag
0.5938 0.6763 0.3024 Ag
0.0938 0.3237 0.1976 Ag
0.3774 0.7993 0.4250 Ag
0.8774 0.2007 0.0750 Ag
0.6226 0.2007 0.5750 Ag
0.1226 0.7993 0.9250 Ag
0.3754 0.3468 0.4418 Ag
0.8754 0.6532 0.0582 Ag
0.6246 0.6532 0.5582 Ag
0.1246 0.3468 0.9418 Ag
0.3870 0.7532 0.7586 Ge
0.8870 0.2468 0.7414 Ge
0.6130 0.2468 0.2414 Ge
0.1130 0.7532 0.2586 Ge
0.4369 0.2194 0.2778 O
0.9369 0.7806 0.2222 O
0.5631 0.7806 0.7222 O
0.0631 0.2194 0.7778 O
0.2907 0.9192 0.5953 O
0.7907 0.0808 0.9047 O
0.7093 0.0808 0.4047 O
0.2093 0.9192 0.0953 O
0.3447 0.4322 0.8577 O
0.1401 0.8858 0.3613 O
0.8447 0.5678 0.6423 O
0.1553 0.4322 0.3577 O
0.3599 0.8858 0.8613 O
0.8599 0.1142 0.6387 O
0.6401 0.1142 0.1387 O
0.6553 0.5678 0.1423 O



[2]
r2SCAN TbCu2Ni3, relaxed; ΔE_f = -0.267 eV per atom; energy = -15.078 eV per atom; space-group type = No. 191; crystal system = hexagonal
1.0
3.1298 3.4780 -1.4581
-4.2637 1.2508 2.0675
1.7020 -0.0480 3.5389
Tb Cu Ni
1 2 3
Direct
0.0000 0.0000 0.0000 Tb
0.6667 0.3333 0.0000 Cu
0.3333 0.6667 0.0000 Cu
0.5000 0.5000 0.5000 Ni
0.5000 0.0000 0.5000 Ni
0.0000 0.5000 0.5000 Ni



[3]
r2SCAN Cu3Pd, relaxed; ΔE_f = -0.095 eV per atom; energy = -13.970 eV per atom; space-group type = No. 221; crystal system = cubic
1.0
-1.5151 -0.4026 -3.3141
-1.6256 -3.0997 1.1197
-2.9250 1.9322 1.1025
Cu Pd
3 1
Direct
0.0000 0.5000 0.5000 Cu
0.5000 0.5000 0.0000 Cu
0.5000 0.0000 0.5000 Cu
0.0000 0.0000 0.0000 Pd